Entry 1:
Crystalline Ba2ErV3O11 at its relaxed geometry. Source: the Materials Project, functional PBE with a Hubbard U.

## Properties
Symmetry: P2_1/c
Magnetic moment (μB per cell): 0.002
E_form (eV/f.u.): -51.10
Calculated total energy (eV/atom): -7.560

Cell lengths 12.4717, 7.7513, 11.3077 Å; angles 90.00, 103.72, 90.00 degrees
Fractional positions:
Ba1 0.0535 0.2464 0.3888
Ba2 0.0535 0.2536 0.8888
Ba3 0.2736 0.7233 0.9436
Ba4 0.2736 0.7767 0.4436
Ba5 0.7264 0.2233 0.5564
Ba6 0.7264 0.2767 0.0564
Ba7 0.9465 0.7464 0.1112
Ba8 0.9465 0.7536 0.6112
Er1 0.4957 0.0024 0.2166
Er2 0.4957 0.4976 0.7166
Er3 0.5043 0.5024 0.2834
Er4 0.5043 0.9976 0.7834
V1 0.1854 0.0191 0.1721
V2 0.1854 0.4809 0.6721
V3 0.1899 0.0190 0.6730
V4 0.1899 0.4810 0.1730
V5 0.4085 0.2432 0.9781
V6 0.4085 0.2568 0.4781
V7 0.5915 0.7432 0.5219
V8 0.5915 0.7568 0.0219
V9 0.8101 0.5190 0.8270
V10 0.8101 0.9810 0.3270
V11 0.8146 0.5191 0.3279
V12 0.8146 0.9809 0.8279
O1 0.1112 0.5611 0.7691
O2 0.1112 0.9389 0.2691
O3 0.1160 0.5648 0.0388
O4 0.1160 0.9352 0.5388
O5 0.1248 0.5565 0.5316
O6 0.1248 0.9435 0.0316
O7 0.1309 0.5582 0.2828
O8 0.1309 0.9418 0.7828
O9 0.1623 0.2504 0.1652
O10 0.1623 0.2496 0.6652
O11 0.2874 0.1466 0.4469
O12 0.2874 0.3534 0.9469
O13 0.3213 0.5505 0.7166
O14 0.3213 0.9495 0.2166
O15 0.3269 0.5452 0.1994
O16 0.3269 0.9548 0.6994
O17 0.3874 0.0238 0.9823
O18 0.3874 0.4762 0.4823
O19 0.4851 0.2227 0.3642
O20 0.4851 0.2773 0.8642
O21 0.4892 0.2142 0.6279
O22 0.4892 0.2858 0.1279
O23 0.5108 0.7142 0.8721
O24 0.5108 0.7858 0.3721
O25 0.5149 0.7227 0.1358
O26 0.5149 0.7773 0.6358
O27 0.6126 0.5238 0.5177
O28 0.6126 0.9762 0.0177
O29 0.6731 0.0452 0.3006
O30 0.6731 0.4548 0.8006
O31 0.6787 0.0505 0.7834
O32 0.6787 0.4495 0.2834
O33 0.7126 0.6466 0.0531
O34 0.7126 0.8534 0.5531
O35 0.8377 0.7504 0.3348
O36 0.8377 0.7496 0.8348
O37 0.8691 0.0582 0.2172
O38 0.8691 0.4418 0.7172
O39 0.8752 0.0565 0.9684
O40 0.8752 0.4435 0.4684
O41 0.8840 0.0648 0.4612
O42 0.8840 0.4352 0.9612
O43 0.8888 0.0611 0.7309
O44 0.8888 0.4389 0.2309

=====

Entry 2:
Crystalline Sr2DyFeO6 at its relaxed geometry. Source: the Materials Project, functional PBE with a Hubbard U.

## Properties
Symmetry: Fm-3m
Magnetic moment (μB per cell): 3.000
E_form (eV/f.u.): -26.92
Calculated total energy (eV/atom): -6.669

Cell lengths 5.7500, 5.7500, 5.7500 Å; angles 60.00, 60.00, 60.00 degrees
Fractional positions:
Sr1 0.2500 0.2500 0.2500
Sr2 0.7500 0.7500 0.7500
Dy1 0.0000 0.0000 0.0000
Fe1 0.5000 0.5000 0.5000
O1 0.2686 0.2686 0.7314
O2 0.2686 0.7314 0.2686
O3 0.2686 0.7314 0.7314
O4 0.7314 0.2686 0.2686
O5 0.7314 0.2686 0.7314
O6 0.7314 0.7314 0.2686

=====

Entry 3:
Crystalline Fe4O3F5 at its relaxed geometry. Source: the Materials Project, functional PBE with a Hubbard U.

## Properties
Symmetry: P-1
Magnetic moment (μB per cell): 38.000
E_form (eV/f.u.): -25.68
Calculated total energy (eV/atom): -5.882

Cell lengths 4.8268, 5.7467, 10.4913 Å; angles 95.37, 90.68, 92.85 degrees
Fractional positions:
Fe1 0.0000 0.0000 0.0000
Fe2 0.0000 0.5000 0.5000
Fe3 0.0303 0.2447 0.7606
Fe4 0.4231 0.7555 0.7476
Fe5 0.5000 0.0000 0.5000
Fe6 0.5000 0.5000 0.0000
Fe7 0.5769 0.2445 0.2524
Fe8 0.9697 0.7553 0.2394
O1 0.1920 0.9864 0.8268
O2 0.2958 0.7173 0.5737
O3 0.3022 0.4813 0.8341
O4 0.6978 0.5187 0.1659
O5 0.7042 0.2827 0.4263
O6 0.8080 0.0136 0.1732
F1 0.1829 0.2289 0.5807
F2 0.1834 0.4950 0.3238
F3 0.2086 0.7142 0.0788
F4 0.2976 0.9832 0.3129
F5 0.3104 0.2323 0.0819
F6 0.6896 0.7677 0.9181
F7 0.7024 0.0168 0.6871
F8 0.7914 0.2858 0.9212
F9 0.8166 0.5050 0.6762
F10 0.8171 0.7711 0.4193